Entry 1:
VASP calculation (PBE) on a relaxed Mn3Pt crystal.

Geometry as CIF:
```
data_Mn3Pt
_symmetry_space_group_name_H-M 'P m -3 m'
_symmetry_Int_Tables_number 221
_symmetry_space_group_name_Hall '-P 4 2 3'
_cell_length_a 3.8892
_cell_length_b 3.8892
_cell_length_c 3.8892
_cell_angle_alpha 90.00
_cell_angle_beta 90.00
_cell_angle_gamma 90.00
loop_
_atom_site_label
_atom_site_fract_x
_atom_site_fract_y
_atom_site_fract_z
Mn1 0.0000 0.0000 0.5000
Pt1 0.5000 0.5000 0.5000
```

Results
Crystal system: cubic
DFT total energy: -8.325 eV/atom
Energy relative to the elements: 25 kJ/mol of formula units

***

Entry 2:
VASP calculation (PBE) on a relaxed Mn3Pt crystal.

Geometry as CIF:
```
data_Mn3Pt
_symmetry_space_group_name_H-M 'P 63/m m c'
_symmetry_Int_Tables_number 194
_symmetry_space_group_name_Hall '-P 6c 2c'
_cell_length_a 5.2294
_cell_length_b 5.2294
_cell_length_c 4.0507
_cell_angle_alpha 90.00
_cell_angle_beta 90.00
_cell_angle_gamma 120.00
loop_
_atom_site_label
_atom_site_fract_x
_atom_site_fract_y
_atom_site_fract_z
Mn1 0.1511 0.3022 0.2500
Pt1 0.3333 0.6667 0.7500
```

Results
Crystal system: hexagonal
DFT total energy: -8.552 eV/atom
Energy relative to the elements: -63 kJ/mol of formula units

***

Entry 3:
VASP calculation (PBE) on a relaxed MnPt3 crystal.

Geometry as CIF:
```
data_MnPt3
_symmetry_space_group_name_H-M 'P m -3 m'
_symmetry_Int_Tables_number 221
_symmetry_space_group_name_Hall '-P 4 2 3'
_cell_length_a 3.9361
_cell_length_b 3.9361
_cell_length_c 3.9361
_cell_angle_alpha 90.00
_cell_angle_beta 90.00
_cell_angle_gamma 90.00
loop_
_atom_site_label
_atom_site_fract_x
_atom_site_fract_y
_atom_site_fract_z
Mn1 0.0000 0.0000 0.0000
Pt1 0.0000 0.5000 0.5000
```

Results
Crystal system: cubic
DFT total energy: -7.198 eV/atom
Energy relative to the elements: -136 kJ/mol of formula units

***

Entry 4:
VASP calculation (PBE) on a relaxed Mn6PtRh crystal.

Geometry as CIF:
```
data_Mn6PtRh
_symmetry_space_group_name_H-M 'P 4/m m m'
_symmetry_Int_Tables_number 123
_symmetry_space_group_name_Hall '-P 4 2'
_cell_length_a 3.6307
_cell_length_b 3.6307
_cell_length_c 7.2616
_cell_angle_alpha 90.00
_cell_angle_beta 90.00
_cell_angle_gamma 90.00
loop_
_atom_site_label
_atom_site_fract_x
_atom_site_fract_y
_atom_site_fract_z
Mn1 0.0000 0.0000 0.0000
Mn2 0.0000 0.0000 0.5000
Mn3 0.0000 0.5000 0.2486
Pt1 0.5000 0.5000 0.5000
Rh1 0.5000 0.5000 0.0000
```

Results
Crystal system: tetragonal
DFT total energy: -8.696 eV/atom
Energy relative to the elements: -112 kJ/mol of formula units

***

Entry 5:
VASP calculation (PBE) on a relaxed Mn2PtRh crystal.

Geometry as CIF:
```
data_Mn2PtRh
_symmetry_space_group_name_H-M 'F m -3 m'
_symmetry_Int_Tables_number 225
_symmetry_space_group_name_Hall '-F 4 2 3'
_cell_length_a 6.1758
_cell_length_b 6.1758
_cell_length_c 6.1758
_cell_angle_alpha 90.00
_cell_angle_beta 90.00
_cell_angle_gamma 90.00
loop_
_atom_site_label
_atom_site_fract_x
_atom_site_fract_y
_atom_site_fract_z
Mn1 0.2500 0.2500 0.2500
Pt1 0.0000 0.0000 0.0000
Rh1 0.0000 0.0000 0.5000
```

Results
Crystal system: cubic
DFT total energy: -8.221 eV/atom
Energy relative to the elements: -109 kJ/mol of formula units

***

Entry 6:
VASP calculation (PBE) on a relaxed Mn2Sb2PtRh crystal.

Geometry as CIF:
```
data_Mn2Sb2PtRh
_symmetry_space_group_name_H-M 'R 3 m'
_symmetry_Int_Tables_number 160
_symmetry_space_group_name_Hall 'R 3 -2"'
_cell_length_a 4.3852
_cell_length_b 4.3852
_cell_length_c 21.5164
_cell_angle_alpha 90.00
_cell_angle_beta 90.00
_cell_angle_gamma 120.00
loop_
_atom_site_label
_atom_site_fract_x
_atom_site_fract_y
_atom_site_fract_z
Mn1 0.0000 0.0000 0.0000
Mn2 0.0000 0.0000 0.4990
Sb1 0.0000 0.0000 0.3760
Sb2 0.0000 0.0000 0.8729
Pt1 0.0000 0.0000 0.2498
Rh1 0.0000 0.0000 0.7490
```

Results
Crystal system: trigonal
DFT total energy: -6.661 eV/atom
Energy relative to the elements: 5 kJ/mol of formula units

***

Question: DFT total energy of number 3 (MnPt3)?
Answer: -7.198 eV/atom

***

Question: What is the energy relative to the elements in the sixth record?
Answer: 5 kJ/mol of formula units

***

Question: Look up the DFT total energy of the fifth one.
Answer: -8.221 eV/atom